Compound: Ce2ThO6
Source: the Materials Project database
Functional: r2SCAN
Structure: relaxed

The structure in CIF format:
```
data_Ce2ThO6
_cell_length_a 3.888
_cell_length_b 5.492
_cell_length_c 11.642
_cell_angle_alpha 90.00
_cell_angle_beta 90.00
_cell_angle_gamma 90.00
_space_group_name_H-M_alt 'I m m m'
_space_group_IT_number 71
_space_group_name_Hall '-I 2 2'
loop_
_atom_site_label
_atom_site_type_symbol
_atom_site_fract_x
_atom_site_fract_y
_atom_site_fract_z
Ce1 Ce 0.000 0.000 0.168
Th1 Th 0.000 0.000 0.500
O1 O 0.000 0.245 0.000
O2 O 0.000 0.252 0.331
```

Results
- Energy relative to the elements: -3.907 eV per atom
- Calculated volume: 13.81 Å³ per atom